Record 1
# MgFe4H4O8 PBE with a Hubbard U relaxed
data_MgFe4H4O8
_space_group_name_H-M_alt 'P 1'
_space_group_IT_number 1
_cell_length_a 7.731
_cell_length_b 7.731
_cell_length_c 7.731
_cell_angle_alpha 92.30
_cell_angle_beta 92.30
_cell_angle_gamma 156.87
loop_
_space_group_symop_operation_xyz
'x,y,z'
loop_
_atom_site_label
_atom_site_type_symbol
_atom_site_fract_x
_atom_site_fract_y
_atom_site_fract_z
H1 H 0.153 0.092 0.245
O1 O 0.838 0.214 0.052
H2 H 0.847 0.908 0.755
O2 O 0.828 0.466 0.294
Fe1 Fe 0.147 0.351 0.498
O3 O 0.214 0.162 0.375
Mg1 Mg 0.500 0.500 0.000
Fe2 Fe 0.351 0.853 0.204
Fe3 Fe 0.853 0.649 0.502
H3 H 0.092 0.847 0.938
Fe4 Fe 0.649 0.147 0.796
H4 H 0.908 0.153 0.062
O4 O 0.466 0.172 0.637
O5 O 0.534 0.828 0.363
O6 O 0.162 0.786 0.948
O7 O 0.786 0.838 0.625
O8 O 0.172 0.534 0.706
# SG   No. 87
# Total DFT energy (no corrections)   -96.35 eV/cell
# Formation enthalpy at 0 K   -1.308 eV per atom

=====

Record 2
# MnB2F8 PBE with a Hubbard U relaxed
data_MnB2F8
_space_group_name_H-M_alt 'P 1'
_space_group_IT_number 1
_cell_length_a 5.561
_cell_length_b 8.721
_cell_length_c 11.121
_cell_angle_alpha 90.00
_cell_angle_beta 90.00
_cell_angle_gamma 90.00
loop_
_space_group_symop_operation_xyz
'x,y,z'
loop_
_atom_site_label
_atom_site_type_symbol
_atom_site_fract_x
_atom_site_fract_y
_atom_site_fract_z
F1 F 0.250 0.432 0.460
B1 B 0.250 0.854 0.593
B2 B 0.750 0.146 0.407
F2 F 0.958 0.897 0.840
F3 F 0.541 0.666 0.022
F4 F 0.541 0.166 0.478
Mn1 Mn 0.250 0.753 0.899
F5 F 0.458 0.103 0.160
Mn2 Mn 0.250 0.253 0.601
F6 F 0.750 0.568 0.540
F7 F 0.250 0.746 0.688
B3 B 0.250 0.006 0.155
B4 B 0.750 0.994 0.845
Mn3 Mn 0.750 0.247 0.101
F8 F 0.042 0.603 0.340
F9 F 0.250 0.246 0.812
F10 F 0.041 0.834 0.522
F11 F 0.459 0.834 0.522
B5 B 0.250 0.354 0.907
F12 F 0.750 0.494 0.140
B6 B 0.250 0.506 0.345
F13 F 0.542 0.897 0.840
F14 F 0.958 0.397 0.660
F15 F 0.750 0.597 0.748
F16 F 0.458 0.603 0.340
F17 F 0.750 0.994 0.360
B7 B 0.750 0.646 0.093
F18 F 0.250 0.403 0.252
F19 F 0.959 0.166 0.478
F20 F 0.542 0.397 0.660
F21 F 0.250 0.506 0.860
F22 F 0.750 0.068 0.960
F23 F 0.250 0.932 0.040
Mn4 Mn 0.750 0.747 0.399
F24 F 0.042 0.103 0.160
F25 F 0.750 0.254 0.312
F26 F 0.959 0.666 0.022
F27 F 0.250 0.903 0.248
B8 B 0.750 0.494 0.655
F28 F 0.750 0.097 0.752
F29 F 0.041 0.334 0.978
F30 F 0.250 0.006 0.640
F31 F 0.459 0.334 0.978
F32 F 0.750 0.754 0.188
# SG   No. 62
# Total DFT energy (no corrections)   -267.02 eV/cell
# Formation enthalpy at 0 K   -3.117 eV per atom

=====

Record 3
# Li5Co3O8 PBE with a Hubbard U relaxed
data_Li5Co3O8
_space_group_name_H-M_alt 'P 1'
_space_group_IT_number 1
_cell_length_a 2.976
_cell_length_b 6.313
_cell_length_c 7.779
_cell_angle_alpha 88.22
_cell_angle_beta 99.16
_cell_angle_gamma 103.14
loop_
_space_group_symop_operation_xyz
'x,y,z'
loop_
_atom_site_label
_atom_site_type_symbol
_atom_site_fract_x
_atom_site_fract_y
_atom_site_fract_z
Li1 Li 0.240 0.370 0.621
O1 O 0.117 0.035 0.698
O2 O 0.357 0.204 0.070
O3 O 0.358 0.693 0.579
Co1 Co 0.997 0.757 0.739
O4 O 0.104 0.539 0.186
O5 O 0.642 0.307 0.421
Co2 Co 0.003 0.243 0.261
Co3 Co 0.500 0.500 0.000
O6 O 0.883 0.965 0.302
Li2 Li 0.500 0.000 0.500
O7 O 0.643 0.796 0.930
Li3 Li 0.257 0.881 0.124
Li4 Li 0.743 0.119 0.876
Li5 Li 0.760 0.630 0.379
O8 O 0.896 0.461 0.814
# SG   No. 2
# Total DFT energy (no corrections)   -86.88 eV/cell
# Formation enthalpy at 0 K   -1.677 eV per atom

=====

Record 4
# BaV2As2O10 PBE with a Hubbard U relaxed
data_BaV2As2O10
_space_group_name_H-M_alt 'P 1'
_space_group_IT_number 1
_cell_length_a 13.412
_cell_length_b 13.412
_cell_length_c 18.645
_cell_angle_alpha 46.10
_cell_angle_beta 46.10
_cell_angle_gamma 20.36
loop_
_space_group_symop_operation_xyz
'x,y,z'
loop_
_atom_site_label
_atom_site_type_symbol
_atom_site_fract_x
_atom_site_fract_y
_atom_site_fract_z
O1 O 0.241 0.311 0.437
O2 O 0.706 0.768 0.401
As1 As 0.949 0.896 0.020
O3 O 0.335 0.472 0.391
As2 As 0.580 0.036 0.365
As3 As 0.036 0.580 0.865
O4 O 0.537 0.168 0.242
As4 As 0.097 0.059 0.480
O5 O 0.724 0.365 0.801
O6 O 0.472 0.335 0.891
As5 As 0.416 0.970 0.636
O7 O 0.278 0.632 0.198
O8 O 0.247 0.676 0.512
V1 V 0.423 0.473 0.127
Ba1 Ba 0.125 0.875 0.749
O9 O 0.669 0.104 0.626
V2 V 0.450 0.901 0.024
O10 O 0.669 0.524 0.608
O11 O 0.694 0.755 0.064
As6 As 0.970 0.416 0.136
O12 O 0.191 0.093 0.626
O13 O 0.241 0.284 0.102
O14 O 0.822 0.474 0.258
O15 O 0.222 0.090 0.946
V3 V 0.102 0.550 0.475
O16 O 0.817 0.217 0.091
O17 O 0.907 0.809 0.875
O18 O 0.093 0.191 0.126
O19 O 0.913 0.781 0.548
O20 O 0.768 0.706 0.901
O21 O 0.185 0.783 0.908
O22 O 0.323 0.751 0.989
O23 O 0.781 0.913 0.048
V4 V 0.525 0.575 0.374
Ba2 Ba 0.875 0.125 0.249
O24 O 0.104 0.669 0.126
V5 V 0.901 0.450 0.524
V6 V 0.575 0.525 0.874
Ba3 Ba 0.883 0.608 0.750
O25 O 0.524 0.669 0.108
O26 O 0.217 0.817 0.591
O27 O 0.755 0.694 0.564
O28 O 0.168 0.537 0.742
O29 O 0.284 0.241 0.602
O30 O 0.783 0.185 0.408
V7 V 0.550 0.102 0.975
O31 O 0.676 0.247 0.012
O32 O 0.328 0.892 0.377
O33 O 0.809 0.907 0.375
O34 O 0.892 0.328 0.877
As7 As 0.059 0.097 0.980
O35 O 0.311 0.241 0.937
O36 O 0.365 0.724 0.301
O37 O 0.632 0.278 0.698
V8 V 0.473 0.423 0.627
Ba4 Ba 0.608 0.883 0.250
O38 O 0.090 0.222 0.446
O39 O 0.751 0.323 0.489
O40 O 0.474 0.822 0.758
As8 As 0.896 0.949 0.520
# SG   No. 9
# Total DFT energy (no corrections)   -411.72 eV/cell
# Formation enthalpy at 0 K   -2.288 eV per atom

=====

Record 5
# Rb2FeAuF6 PBE with a Hubbard U relaxed
data_Rb2FeAuF6
_space_group_name_H-M_alt 'P 1'
_space_group_IT_number 1
_cell_length_a 6.286
_cell_length_b 6.286
_cell_length_c 6.286
_cell_angle_alpha 60.00
_cell_angle_beta 60.00
_cell_angle_gamma 60.00
loop_
_space_group_symop_operation_xyz
'x,y,z'
loop_
_atom_site_label
_atom_site_type_symbol
_atom_site_fract_x
_atom_site_fract_y
_atom_site_fract_z
Rb1 Rb 0.250 0.250 0.250
Fe1 Fe 0.000 0.000 0.000
Rb2 Rb 0.750 0.750 0.750
F1 F 0.222 0.222 0.778
F2 F 0.778 0.222 0.778
Au1 Au 0.500 0.500 0.500
F3 F 0.778 0.778 0.222
F4 F 0.222 0.778 0.222
F5 F 0.222 0.778 0.778
F6 F 0.778 0.222 0.222
# SG   No. 225
# Total DFT energy (no corrections)   -44.05 eV/cell
# Formation enthalpy at 0 K   -2.388 eV per atom

=====

Record 6
# BaPrCo2O6 PBE with a Hubbard U relaxed
data_BaPrCo2O6
_space_group_name_H-M_alt 'P 1'
_space_group_IT_number 1
_cell_length_a 3.941
_cell_length_b 3.946
_cell_length_c 7.732
_cell_angle_alpha 90.00
_cell_angle_beta 90.00
_cell_angle_gamma 90.00
loop_
_space_group_symop_operation_xyz
'x,y,z'
loop_
_atom_site_label
_atom_site_type_symbol
_atom_site_fract_x
_atom_site_fract_y
_atom_site_fract_z
O1 O 0.000 0.500 0.274
O2 O 0.000 0.500 0.725
O3 O 0.500 0.000 0.273
O4 O 0.500 0.500 0.494
Ba1 Ba 0.000 0.000 0.000
Co1 Co 0.500 0.500 0.251
O5 O 0.500 0.000 0.724
Co2 Co 0.500 0.500 0.747
O6 O 0.500 0.500 0.013
Pr1 Pr 0.000 0.000 0.498
# SG   No. 99
# Total DFT energy (no corrections)   -65.18 eV/cell
# Formation enthalpy at 0 K   -2.198 eV per atom

=====

Record 7
# MgAg4Te8Mo2O24 PBE with a Hubbard U relaxed
data_MgAg4Te8Mo2O24
_space_group_name_H-M_alt 'P 1'
_space_group_IT_number 1
_cell_length_a 5.837
_cell_length_b 9.557
_cell_length_c 12.005
_cell_angle_alpha 102.06
_cell_angle_beta 89.28
_cell_angle_gamma 107.64
loop_
_space_group_symop_operation_xyz
'x,y,z'
loop_
_atom_site_label
_atom_site_type_symbol
_atom_site_fract_x
_atom_site_fract_y
_atom_site_fract_z
Te1 Te 0.001 0.303 0.920
Ag1 Ag 0.931 0.454 0.319
O1 O 0.178 0.036 0.118
O2 O 0.779 0.475 0.081
O3 O 0.700 0.487 0.582
O4 O 0.894 0.684 0.426
O5 O 0.979 0.777 0.670
O6 O 0.185 0.495 0.904
Mo1 Mo 0.137 0.994 0.721
Te2 Te 0.427 0.217 0.101
O7 O 0.300 0.944 0.858
Te3 Te 0.985 0.667 0.079
O8 O 0.802 0.774 0.185
O9 O 0.332 0.499 0.427
O10 O 0.376 0.030 0.633
O11 O 0.494 0.309 0.257
Te4 Te 0.313 0.299 0.426
O12 O 0.149 0.303 0.582
Ag2 Ag 0.489 0.436 0.763
O13 O 0.148 0.984 0.348
Ag3 Ag 0.015 0.572 0.748
Te5 Te 0.815 0.196 0.598
O14 O 0.844 0.719 0.951
O15 O 0.878 0.020 0.626
O16 O 0.460 0.688 0.740
Te6 Te 0.697 0.675 0.556
Mg1 Mg 0.032 0.931 0.965
Ag4 Ag 0.531 0.578 0.256
O17 O 0.808 0.968 0.862
Te7 Te 0.278 0.839 0.388
O18 O 0.204 0.201 0.830
O19 O 0.616 0.959 0.358
O20 O 0.220 0.691 0.251
O21 O 0.802 0.296 0.752
O22 O 0.717 0.039 0.138
O23 O 0.999 0.220 0.345
O24 O 0.198 0.316 0.069
Te8 Te 0.512 0.819 0.883
Mo2 Mo 0.866 0.997 0.247
# SG   No. 1
# Total DFT energy (no corrections)   -211.98 eV/cell
# Formation enthalpy at 0 K   -1.445 eV per atom

=====

Record 8
# LiMn2O3F PBE with a Hubbard U relaxed
data_LiMn2O3F
_space_group_name_H-M_alt 'P 1'
_space_group_IT_number 1
_cell_length_a 5.964
_cell_length_b 5.361
_cell_length_c 10.587
_cell_angle_alpha 88.75
_cell_angle_beta 90.00
_cell_angle_gamma 90.00
loop_
_space_group_symop_operation_xyz
'x,y,z'
loop_
_atom_site_label
_atom_site_type_symbol
_atom_site_fract_x
_atom_site_fract_y
_atom_site_fract_z
F1 F 0.000 0.800 0.633
O1 O 0.743 0.317 0.583
O2 O 0.751 0.673 0.410
F2 F 0.500 0.200 0.367
Li1 Li 0.051 0.878 0.264
O3 O 0.489 0.187 0.077
Mn1 Mn 0.748 0.998 0.494
O4 O 0.222 0.387 0.902
Li2 Li 0.057 0.572 0.767
O5 O 0.503 0.882 0.598
O6 O 0.251 0.327 0.590
O7 O 0.003 0.118 0.402
Mn2 Mn 0.498 0.514 0.508
O8 O 0.243 0.683 0.417
Mn3 Mn 0.989 0.495 0.018
F3 F 0.231 0.680 0.141
O9 O 0.989 0.813 0.923
Li3 Li 0.551 0.122 0.736
O10 O 0.483 0.845 0.908
F4 F 0.731 0.320 0.859
Mn4 Mn 0.998 0.486 0.492
Mn5 Mn 0.735 0.989 0.005
Mn6 Mn 0.248 0.002 0.506
Mn7 Mn 0.489 0.505 0.982
O11 O 0.983 0.155 0.092
Mn8 Mn 0.235 0.011 0.995
Li4 Li 0.557 0.428 0.233
O12 O 0.722 0.613 0.098
# SG   No. 4
# Total DFT energy (no corrections)   -187.38 eV/cell
# Formation enthalpy at 0 K   -2.245 eV per atom

=====

Record 9
# Li2VP2O7 PBE with a Hubbard U relaxed
data_Li2VP2O7
_space_group_name_H-M_alt 'P 1'
_space_group_IT_number 1
_cell_length_a 13.715
_cell_length_b 5.161
_cell_length_c 9.371
_cell_angle_alpha 58.28
_cell_angle_beta 90.00
_cell_angle_gamma 90.00
loop_
_space_group_symop_operation_xyz
'x,y,z'
loop_
_atom_site_label
_atom_site_type_symbol
_atom_site_fract_x
_atom_site_fract_y
_atom_site_fract_z
O1 O 0.427 0.396 0.276
P1 P 0.974 0.523 0.775
Li1 Li 0.196 0.568 0.667
O2 O 0.711 0.443 0.045
O3 O 0.573 0.604 0.724
P2 P 0.677 0.740 0.031
O4 O 0.073 0.396 0.776
O5 O 0.563 0.700 0.076
O6 O 0.603 0.272 0.377
Li2 Li 0.603 0.044 0.638
P3 P 0.026 0.477 0.225
Li3 Li 0.804 0.432 0.333
O7 O 0.028 0.226 0.183
V1 V 0.660 0.027 0.266
O8 O 0.528 0.774 0.317
P4 P 0.177 0.260 0.469
Li4 Li 0.897 0.044 0.138
O9 O 0.771 0.794 0.660
P5 P 0.526 0.523 0.275
O10 O 0.271 0.206 0.840
O11 O 0.937 0.700 0.576
O12 O 0.690 0.017 0.852
Li5 Li 0.103 0.956 0.862
O13 O 0.972 0.774 0.817
O14 O 0.437 0.300 0.924
O15 O 0.397 0.728 0.623
O16 O 0.063 0.300 0.424
O17 O 0.289 0.557 0.955
Li6 Li 0.696 0.432 0.833
O18 O 0.927 0.604 0.224
O19 O 0.103 0.728 0.123
O20 O 0.789 0.443 0.545
O21 O 0.229 0.206 0.340
V2 V 0.340 0.973 0.734
Li7 Li 0.397 0.956 0.362
O22 O 0.729 0.794 0.160
V3 V 0.160 0.973 0.234
P6 P 0.323 0.260 0.969
P7 P 0.474 0.477 0.725
O23 O 0.472 0.226 0.683
Li8 Li 0.304 0.568 0.167
O24 O 0.810 0.017 0.352
V4 V 0.840 0.027 0.766
O25 O 0.211 0.557 0.455
O26 O 0.310 0.983 0.148
P8 P 0.823 0.740 0.531
O27 O 0.897 0.272 0.877
O28 O 0.190 0.983 0.648
# SG   No. 14
# Total DFT energy (no corrections)   -333.88 eV/cell
# Formation enthalpy at 0 K   -2.634 eV per atom

=====

Record 10
# MgFe4O8 PBE with a Hubbard U relaxed
data_MgFe4O8
_space_group_name_H-M_alt 'P 1'
_space_group_IT_number 1
_cell_length_a 2.989
_cell_length_b 8.119
_cell_length_c 7.739
_cell_angle_alpha 84.30
_cell_angle_beta 82.02
_cell_angle_gamma 80.06
loop_
_space_group_symop_operation_xyz
'x,y,z'
loop_
_atom_site_label
_atom_site_type_symbol
_atom_site_fract_x
_atom_site_fract_y
_atom_site_fract_z
O1 O 0.201 0.284 0.370
Fe1 Fe 0.385 0.809 0.477
Fe2 Fe 0.744 0.130 0.453
O2 O 0.238 0.038 0.589
O3 O 0.144 0.662 0.972
O4 O 0.886 0.916 0.342
Fe3 Fe 0.757 0.565 0.852
O5 O 0.548 0.581 0.349
Mg1 Mg 0.056 0.475 0.533
Fe4 Fe 0.172 0.494 0.180
O6 O 0.866 0.710 0.630
O7 O 0.766 0.403 0.052
O8 O 0.509 0.435 0.714
# SG   No. 1
# Total DFT energy (no corrections)   -80.56 eV/cell
# Formation enthalpy at 0 K   -1.540 eV per atom